[1]
Below is an optimized crystal structure of CeInCu5, with properties calculated at the PBE level.

Summary:
Formation energy from the elements, meV per atom: -193.7
ρ, g/cm³: 8.57
DFT total energy, eV per atom: -4.362
Space-group type: Pnma

a b c (Å): 5.052 8.323 10.560
angles (deg): 90.00 90.00 90.00
Atoms (fractional coordinates):
Ce 0.750 0.744 0.441
Ce 0.250 0.256 0.559
Ce 0.250 0.756 0.941
Ce 0.750 0.244 0.059
In 0.750 0.861 0.137
In 0.250 0.139 0.863
In 0.250 0.639 0.637
In 0.750 0.361 0.363
Cu 0.500 0.933 0.688
Cu 0.500 0.067 0.312
Cu 0.500 0.567 0.188
Cu 0.000 0.067 0.312
Cu 0.500 0.433 0.812
Cu 0.000 0.933 0.688
Cu 0.000 0.433 0.812
Cu 0.000 0.567 0.188
Cu 0.750 0.584 0.985
Cu 0.250 0.416 0.015
Cu 0.250 0.916 0.485
Cu 0.750 0.084 0.515
Cu 0.750 0.941 0.894
Cu 0.250 0.059 0.106
Cu 0.250 0.559 0.394
Cu 0.750 0.441 0.606
Cu 0.750 0.683 0.756
Cu 0.250 0.317 0.244
Cu 0.250 0.817 0.256
Cu 0.750 0.183 0.744

[2]
Below is an optimized crystal structure of Zr2Co, with properties calculated at the PBE level.

Summary:
Formation energy from the elements, meV per atom: -257.3
ρ, g/cm³: 7.17
DFT total energy, eV per atom: -8.325
Space-group type: I4/mcm

a b c (Å): 5.278 5.278 5.278
angles (deg): 105.96 105.96 116.75
Atoms (fractional coordinates):
Zr 0.672 0.172 0.845
Zr 0.328 0.828 0.155
Zr 0.828 0.672 0.500
Zr 0.172 0.328 0.500
Co 0.750 0.750 0.000
Co 0.250 0.250 0.000

[3]
Below is an optimized crystal structure of MgCl2, with properties calculated at the PBE level.

Summary:
Formation energy from the elements, meV per atom: -2066.4
ρ, g/cm³: 1.99
DFT total energy, eV per atom: -3.423
Spin magnetization, μB per formula unit: 0.0
Space-group type: Ama2

a b c (Å): 4.456 4.456 9.554
angles (deg): 90.00 90.00 123.08
Atoms (fractional coordinates):
Mg 0.020 0.055 0.250
Mg 0.055 0.020 0.750
Cl 0.357 0.730 0.250
Cl 0.071 0.071 0.500
Cl 0.071 0.071 0.000
Cl 0.730 0.357 0.750

[4]
Below is an optimized crystal structure of Ba4Ca8Cu11CO20, with properties calculated at the PBE level.

Summary:
Formation energy from the elements, meV per atom: -1839.3
ρ, g/cm³: 4.92
DFT total energy, eV per atom: -5.550
Spin magnetization, μB per formula unit: 1.8
Space-group type: I4/mmm

a b c (Å): 21.135 21.135 21.135
angles (deg): 164.89 164.89 21.43
Atoms (fractional coordinates):
Ba 0.446 0.946 0.500
Ba 0.946 0.446 0.500
Ba 0.054 0.554 0.500
Ba 0.554 0.054 0.500
Ca 0.363 0.863 0.500
Ca 0.863 0.363 0.500
Ca 0.137 0.637 0.500
Ca 0.637 0.137 0.500
Ca 0.288 0.788 0.500
Ca 0.788 0.288 0.500
Ca 0.212 0.712 0.500
Ca 0.712 0.212 0.500
Cu 0.826 0.826 0.000
Cu 0.326 0.326 0.000
Cu 0.674 0.674 0.000
Cu 0.174 0.174 0.000
Cu 0.901 0.901 0.000
Cu 0.401 0.401 0.000
Cu 0.599 0.599 0.000
Cu 0.099 0.099 0.000
Cu 0.750 0.750 0.000
Cu 0.250 0.250 0.000
Cu 0.000 0.000 0.000
C 0.500 0.500 0.000
O 0.153 0.153 0.500
O 0.654 0.654 0.500
O 0.153 0.654 0.000
O 0.654 0.153 0.000
O 0.847 0.847 0.500
O 0.346 0.346 0.500
O 0.847 0.346 0.000
O 0.346 0.847 0.000
O 0.000 0.000 0.500
O 0.500 0.500 0.500
O 0.000 0.500 0.000
O 0.500 0.000 0.000
O 0.076 0.076 0.499
O 0.577 0.577 0.501
O 0.076 0.577 0.000
O 0.577 0.076 0.000
O 0.924 0.924 0.501
O 0.423 0.423 0.499
O 0.924 0.423 0.000
O 0.423 0.924 0.000

[5]
Below is an optimized crystal structure of BeZnS2, with properties calculated at the PBE level.

Summary:
Formation energy from the elements, meV per atom: -1127.9
ρ, g/cm³: 3.32
DFT total energy, eV per atom: -4.194
Spin magnetization, μB per formula unit: 0.0
Space-group type: R3m

a b c (Å): 6.345 6.345 6.345
angles (deg): 33.48 33.48 33.48
Atoms (fractional coordinates):
Be 0.500 0.500 0.500
Zn 0.001 0.001 0.001
S 0.131 0.131 0.131
S 0.617 0.617 0.617

[6]
Below is an optimized crystal structure of NdTa3O9, with properties calculated at the PBE level.

Summary:
Formation energy from the elements, meV per atom: -3509.8
ρ, g/cm³: 8.03
DFT total energy, eV per atom: -9.563
Space-group type: P2_1/m

a b c (Å): 7.613 5.440 8.309
angles (deg): 87.58 90.00 90.00
Atoms (fractional coordinates):
Nd 0.750 0.035 0.565
Nd 0.250 0.965 0.435
Ta 0.493 0.527 0.698
Ta 0.993 0.473 0.302
Ta 0.500 0.000 0.000
Ta 0.000 0.000 0.000
Ta 0.007 0.527 0.698
Ta 0.507 0.473 0.302
O 0.750 0.439 0.687
O 0.250 0.561 0.313
O 0.750 0.084 0.018
O 0.250 0.916 0.982
O 0.250 0.648 0.661
O 0.750 0.352 0.339
O 0.038 0.265 0.533
O 0.538 0.735 0.467
O 0.557 0.845 0.787
O 0.057 0.155 0.213
O 0.443 0.155 0.213
O 0.943 0.845 0.787
O 0.047 0.318 0.878
O 0.547 0.682 0.122
O 0.953 0.682 0.122
O 0.453 0.318 0.878
O 0.462 0.265 0.533
O 0.962 0.735 0.467